ZnGeO3: relaxed, PBE-GGA.

Calculated values
Space group ... R3c (161)
Energy with MP2020 corrections ... -6.0396 eV/atom
Energy relative to the elements ... -1.894 eV per atom

Unit cell a=5.310 b=5.310 c=5.310 alpha=57.33 beta=57.33 gamma=57.33
Positions (direct):
Zn: 0.000 0.000 0.000
Zn: 0.500 0.500 0.500
Ge: 0.224 0.224 0.224
Ge: 0.724 0.724 0.724
O: 0.087 0.849 0.450
O: 0.349 0.587 0.950
O: 0.450 0.087 0.849
O: 0.587 0.950 0.349
O: 0.849 0.450 0.087
O: 0.950 0.349 0.587